[1]
DFT (PBE) results for a relaxed Si3N4 crystal.

abc: 5.619 5.619 5.619
angles: 109.47 109.47 109.47
Element x y z (fractional)
Si: 0.125 0.750 0.875
Si: 0.375 0.250 0.625
Si: 0.625 0.375 0.250
Si: 0.875 0.125 0.750
Si: 0.750 0.875 0.125
Si: 0.250 0.625 0.375
N: 0.500 0.000 0.063
N: 0.000 0.563 0.500
N: 0.437 0.437 0.437
N: 0.500 0.000 0.563
N: 0.063 0.500 0.000
N: 0.000 0.063 0.500
N: 0.563 0.500 0.000
N: 0.937 0.937 0.937

largest piezoelectric modulus: 0.02 C/m²
formation energy: -1.2001 eV per atom
space-group type: I-43d
MP2020-corrected energy: -8.289 eV per atom

***

[2]
DFT (PBE) results for a relaxed Si3N4 crystal.

abc: 12.526 12.526 8.091
angles: 90.00 90.00 120.00
Element x y z (fractional)
N: 0.753 0.852 0.570
N: 0.099 0.247 0.570
N: 0.247 0.148 0.430
N: 0.104 0.959 0.250
N: 0.753 0.852 0.930
N: 0.041 0.144 0.250
N: 0.018 0.334 0.250
N: 0.144 0.104 0.750
N: 0.099 0.247 0.930
N: 0.852 0.099 0.430
N: 0.901 0.753 0.430
N: 0.901 0.753 0.070
N: 0.959 0.856 0.750
N: 0.148 0.901 0.930
N: 0.316 0.982 0.250
N: 0.334 0.316 0.750
N: 0.148 0.901 0.570
N: 0.896 0.041 0.750
N: 0.982 0.666 0.750
N: 0.856 0.896 0.250
N: 0.852 0.099 0.070
N: 0.247 0.148 0.070
N: 0.666 0.684 0.250
N: 0.684 0.018 0.750
Si: 0.989 0.762 0.598
Si: 0.238 0.228 0.902
Si: 0.228 0.989 0.098
Si: 0.772 0.011 0.598
Si: 0.772 0.011 0.902
Si: 0.011 0.238 0.098
Si: 0.123 0.959 0.750
Si: 0.228 0.989 0.402
Si: 0.041 0.163 0.750
Si: 0.238 0.228 0.598
Si: 0.163 0.123 0.250
Si: 0.011 0.238 0.402
Si: 0.877 0.041 0.250
Si: 0.959 0.837 0.250
Si: 0.837 0.877 0.750
Si: 0.989 0.762 0.902
Si: 0.762 0.772 0.098
Si: 0.762 0.772 0.402

formation energy: -0.6647 eV per atom
space-group type: P6_3/m
MP2020-corrected energy: -7.754 eV per atom

***

[3]
DFT (PBE) results for a relaxed Si3N4 crystal.

abc: 7.809 7.809 5.660
angles: 90.00 90.00 120.00
Element x y z (fractional)
Si: 0.918 0.488 0.661
Si: 0.914 0.167 0.953
Si: 0.253 0.086 0.953
Si: 0.430 0.512 0.161
Si: 0.086 0.253 0.453
Si: 0.488 0.918 0.161
Si: 0.570 0.082 0.661
Si: 0.167 0.914 0.453
Si: 0.082 0.570 0.161
Si: 0.512 0.430 0.661
Si: 0.833 0.747 0.953
Si: 0.747 0.833 0.453
N: 0.000 0.000 0.453
N: 0.610 0.955 0.434
N: 0.315 0.996 0.199
N: 0.045 0.655 0.434
N: 0.667 0.333 0.605
N: 0.345 0.390 0.434
N: 0.000 0.000 0.953
N: 0.655 0.045 0.934
N: 0.004 0.319 0.199
N: 0.390 0.345 0.934
N: 0.685 0.681 0.699
N: 0.333 0.667 0.105
N: 0.955 0.610 0.934
N: 0.996 0.315 0.699
N: 0.681 0.685 0.199
N: 0.319 0.004 0.699

largest piezoelectric modulus: 0.14 C/m²
formation energy: -1.2994 eV per atom
space-group type: P31c
MP2020-corrected energy: -8.388 eV per atom

***

[4]
DFT (PBE) results for a relaxed Si3N4 crystal.

abc: 7.660 7.660 2.925
angles: 90.00 90.00 120.00
Element x y z (fractional)
N: 0.031 0.330 0.250
N: 0.333 0.667 0.750
N: 0.670 0.701 0.250
N: 0.667 0.333 0.250
N: 0.299 0.969 0.250
N: 0.330 0.299 0.750
N: 0.701 0.031 0.750
N: 0.969 0.670 0.750
Si: 0.406 0.231 0.250
Si: 0.769 0.175 0.250
Si: 0.175 0.406 0.750
Si: 0.231 0.825 0.750
Si: 0.825 0.594 0.250
Si: 0.594 0.769 0.750

formation energy: -1.2996 eV per atom
space-group type: P6_3/m
MP2020-corrected energy: -8.388 eV per atom

***

[5]
DFT (PBE) results for a relaxed Si3N4 crystal.

abc: 7.711 7.711 5.634
angles: 90.00 90.00 120.00
Element x y z (fractional)
N: 0.370 0.350 0.928
N: 0.020 0.650 0.428
N: 0.669 0.697 0.192
N: 0.980 0.630 0.928
N: 0.630 0.980 0.428
N: 0.000 0.000 0.457
N: 0.000 0.000 0.957
N: 0.350 0.370 0.428
N: 0.667 0.333 0.109
N: 0.027 0.331 0.192
N: 0.973 0.303 0.692
N: 0.697 0.669 0.692
N: 0.331 0.027 0.692
N: 0.650 0.020 0.928
N: 0.303 0.973 0.192
N: 0.333 0.667 0.609
Si: 0.910 0.165 0.956
Si: 0.165 0.910 0.456
Si: 0.090 0.255 0.456
Si: 0.745 0.835 0.456
Si: 0.098 0.584 0.167
Si: 0.902 0.486 0.667
Si: 0.486 0.902 0.167
Si: 0.416 0.514 0.167
Si: 0.255 0.090 0.956
Si: 0.835 0.745 0.956
Si: 0.584 0.098 0.667
Si: 0.514 0.416 0.667

formation energy: -0.5559 eV per atom
space-group type: P31c
MP2020-corrected energy: -7.645 eV per atom

***

[6]
DFT (PBE) results for a relaxed Si3N4 crystal.

abc: 10.261 10.192 11.141
angles: 88.53 90.56 90.00
Element x y z (fractional)
Si: 0.562 0.176 0.193
Si: 0.818 0.747 0.009
Si: 0.627 0.490 0.467
Si: 0.887 0.801 0.473
Si: 0.601 0.459 0.198
Si: 0.618 0.581 0.841
Si: 0.376 0.184 0.985
Si: 0.717 0.115 0.799
Si: 0.598 0.007 0.642
Si: 0.020 0.296 0.569
Si: 0.097 0.705 0.562
Si: 0.579 0.728 0.608
Si: 0.016 0.514 0.124
Si: 0.671 0.723 0.329
Si: 0.833 0.295 0.132
Si: 0.010 0.402 0.815
Si: 0.249 0.920 0.896
Si: 0.862 0.047 0.570
Si: 0.754 0.282 0.394
Si: 0.504 0.669 0.099
Si: 0.630 0.325 0.959
Si: 0.382 0.430 0.805
Si: 0.398 0.368 0.358
Si: 0.896 0.649 0.753
Si: 0.741 0.885 0.813
Si: 0.006 0.214 0.357
Si: 0.132 0.938 0.672
Si: 0.644 0.993 0.397
Si: 0.429 0.897 0.246
Si: 0.168 0.627 0.911
Si: 0.485 0.944 0.883
Si: 0.145 0.897 0.338
Si: 0.952 0.714 0.226
Si: 0.197 0.191 0.782
Si: 0.355 0.707 0.738
Si: 0.765 0.381 0.702
Si: 0.235 0.149 0.509
Si: 0.289 0.155 0.259
Si: 0.371 0.896 0.503
Si: 0.135 0.493 0.368
Si: 0.212 0.747 0.110
Si: 0.881 0.031 0.080
Si: 0.345 0.552 0.546
Si: 0.306 0.444 0.134
Si: 0.086 0.236 0.032
N: 0.089 0.276 0.876
N: 0.267 0.446 0.283
N: 0.737 0.276 0.838
N: 0.309 0.583 0.850
N: 0.524 0.648 0.733
N: 0.930 0.687 0.600
N: 0.587 0.872 0.302
N: 0.648 0.661 0.481
N: 0.688 0.430 0.337
N: 0.981 0.361 0.073
N: 0.879 0.276 0.280
N: 0.457 0.484 0.449
N: 0.841 0.874 0.097
N: 0.381 0.781 0.138
N: 0.551 0.060 0.785
N: 0.170 0.026 0.801
N: 0.766 0.146 0.098
N: 0.255 0.258 0.100
N: 0.854 0.768 0.855
N: 0.161 0.225 0.629
N: 0.730 0.113 0.642
N: 0.312 0.881 0.358
N: 0.424 0.064 0.215
N: 0.449 0.513 0.091
N: 0.765 0.537 0.771
N: 0.081 0.346 0.431
N: 0.032 0.086 0.066
N: 0.373 0.848 0.817
N: 0.188 0.586 0.489
N: 0.336 0.265 0.849
N: 0.793 0.944 0.463
N: 0.341 0.448 0.661
N: 0.024 0.558 0.271
N: 0.178 0.561 0.069
N: 0.104 0.809 0.212
N: 0.531 0.210 0.031
N: 0.487 0.325 0.236
N: 0.168 0.788 0.964
N: 0.621 0.849 0.924
N: 0.668 0.854 0.672
N: 0.404 0.739 0.571
N: 0.362 0.016 0.972
N: 0.609 0.632 0.215
N: 0.518 0.984 0.510
N: 0.629 0.709 0.973
N: 0.937 0.368 0.682
N: 0.178 0.767 0.686
N: 0.976 0.971 0.646
N: 0.256 0.995 0.568
N: 0.133 0.088 0.331
N: 0.908 0.636 0.090
N: 0.653 0.150 0.339
N: 0.055 0.825 0.449
N: 0.539 0.437 0.873
N: 0.334 0.217 0.403
N: 0.028 0.565 0.835
N: 0.705 0.374 0.557
N: 0.706 0.399 0.086
N: 0.912 0.189 0.490
N: 0.838 0.738 0.335

formation energy: -0.9130 eV per atom
space-group type: P1
MP2020-corrected energy: -8.002 eV per atom

***

[7]
DFT (PBE) results for a relaxed Si3N4 crystal.

abc: 6.206 6.206 3.977
angles: 90.00 90.00 120.00
Element x y z (fractional)
N: 0.314 0.157 0.250
N: 0.667 0.333 0.750
N: 0.843 0.686 0.250
N: 0.333 0.667 0.250
N: 0.686 0.843 0.750
N: 0.843 0.157 0.250
N: 0.157 0.314 0.750
N: 0.157 0.843 0.750
Si: 0.829 0.171 0.750
Si: 0.342 0.171 0.750
Si: 0.171 0.342 0.250
Si: 0.829 0.658 0.750
Si: 0.658 0.829 0.250
Si: 0.171 0.829 0.250

formation energy: -0.8045 eV per atom
space-group type: P6_3/mmc
MP2020-corrected energy: -7.893 eV per atom

***

[8]
DFT (PBE) results for a relaxed Sm3Si6N11 crystal.

abc: 10.070 10.070 4.894
angles: 90.00 90.00 90.00
Element x y z (fractional)
N: 0.680 0.421 0.649
N: 0.421 0.320 0.649
N: 0.346 0.846 0.698
N: 0.578 0.273 0.179
N: 0.727 0.578 0.179
N: 0.579 0.680 0.649
N: 0.773 0.078 0.179
N: 0.079 0.820 0.649
N: 0.227 0.922 0.179
N: 0.180 0.079 0.649
N: 0.320 0.579 0.649
N: 0.273 0.422 0.179
N: 0.000 0.500 0.072
N: 0.921 0.180 0.649
N: 0.500 0.000 0.072
N: 0.846 0.654 0.698
N: 0.422 0.727 0.179
N: 0.820 0.921 0.649
N: 0.154 0.346 0.698
N: 0.078 0.227 0.179
N: 0.654 0.154 0.698
N: 0.922 0.773 0.179
Sm: 0.000 0.000 0.982
Sm: 0.318 0.182 0.995
Sm: 0.500 0.500 0.982
Sm: 0.682 0.818 0.995
Sm: 0.182 0.682 0.995
Sm: 0.818 0.318 0.995
Si: 0.420 0.708 0.532
Si: 0.080 0.208 0.532
Si: 0.382 0.882 0.044
Si: 0.882 0.618 0.044
Si: 0.292 0.420 0.532
Si: 0.580 0.292 0.532
Si: 0.118 0.382 0.044
Si: 0.708 0.580 0.532
Si: 0.920 0.792 0.532
Si: 0.618 0.118 0.044
Si: 0.792 0.080 0.532
Si: 0.208 0.920 0.532

largest piezoelectric modulus: 1.48 C/m²
formation energy: -1.5042 eV per atom
space-group type: P4bm
MP2020-corrected energy: -8.425 eV per atom

***

[9]
DFT (PBE) results for a relaxed Si2Sn5N6 crystal.

abc: 5.609 7.820 15.613
angles: 90.00 83.43 134.20
Element x y z (fractional)
N: 0.808 0.636 0.849
N: 0.808 0.172 0.349
N: 0.381 0.582 0.974
N: 0.192 0.828 0.651
N: 0.381 0.799 0.474
N: 0.110 0.983 0.415
N: 0.890 0.017 0.585
N: 0.110 0.128 0.915
N: 0.619 0.418 0.026
N: 0.619 0.201 0.526
N: 0.192 0.364 0.151
N: 0.890 0.872 0.085
Sn: 0.673 0.819 0.351
Sn: 0.824 0.707 0.547
Sn: 0.000 0.448 0.250
Sn: 0.000 0.552 0.750
Sn: 0.176 0.293 0.453
Sn: 0.327 0.146 0.149
Sn: 0.327 0.181 0.649
Sn: 0.824 0.117 0.047
Sn: 0.673 0.854 0.851
Sn: 0.176 0.883 0.953
Si: 0.529 0.583 0.069
Si: 0.471 0.417 0.931
Si: 0.471 0.054 0.431
Si: 0.529 0.946 0.569

formation energy: -0.2075 eV per atom
space-group type: C2/c
MP2020-corrected energy: -6.432 eV per atom

***

[10]
DFT (PBE) results for a relaxed SiSnN2 crystal.

abc: 4.975 5.295 5.295
angles: 62.88 61.98 61.98
Element x y z (fractional)
Sn: 0.420 0.630 0.630
Sn: 0.180 0.370 0.370
N: 0.627 0.000 0.500
N: 0.254 0.090 0.090
N: 0.627 0.500 0.000
N: 0.935 0.910 0.910
Si: 0.619 0.880 0.880
Si: 0.879 0.120 0.120

formation energy: -0.6185 eV per atom
space-group type: Ima2
MP2020-corrected energy: -7.145 eV per atom